# 1
PBE-GGA LiY3, relaxed; formation energy from the elements = 193 meV per atom; distance to the lowest polymorph of the same formula = 0.00 eV/f.u.
1.0
-2.631 3.403 3.452
-1.184 5.151 -1.574
-5.227 1.445 -1.003
Y Li
3 1
Cartesian
-4.521 4.999 0.437
-6.782 7.499 0.656
-2.261 2.500 0.219
0.000 0.000 0.000

# 2
PBE-GGA SmAg3, relaxed; formation energy from the elements = -204 meV per atom; distance to the lowest polymorph of the same formula = 0.01 eV/f.u.
1.0
-1.816 -1.488 6.013
0.744 -4.668 -4.395
4.675 -0.474 1.295
Ag Sm
6 2
Cartesian
1.118 -1.779 -0.102
0.539 -5.102 0.771
1.520 -4.299 -2.475
3.063 -1.528 2.142
2.083 -2.331 5.387
2.484 -4.851 3.015
0.206 -2.666 2.867
3.396 -3.964 0.045

# 3
PBE-GGA NaPdO2, relaxed; energy with MP2020 corrections = -21.11 eV per cell; formation energy from the elements = -1179 meV per atom
1.0
0.110 -2.844 -1.784
2.568 -2.165 -0.041
-1.108 -4.550 3.336
O Pd Na
2 1 1
Cartesian
1.042 -7.172 1.325
0.528 -2.386 0.185
0.000 0.000 0.000
0.785 -4.779 0.755

# 4
PBE-GGA CeSe2, relaxed; energy with MP2020 corrections = -205.52 eV per cell; formation energy from the elements = -1400 meV per atom
1.0
8.349 0.000 0.000
0.000 14.692 0.000
0.000 0.000 17.629
Se Ce
24 12
Cartesian
2.685 1.767 6.570
1.046 2.416 0.608
2.502 13.167 3.579
3.131 9.819 8.104
6.900 5.562 2.147
1.046 4.930 9.422
5.848 1.525 3.579
1.450 12.908 10.961
5.664 9.113 15.384
1.700 5.839 5.144
5.219 2.473 16.918
6.900 1.784 10.961
3.131 12.219 16.918
5.664 12.925 6.570
5.219 4.873 8.104
7.304 12.276 0.608
6.650 13.185 13.959
2.502 8.871 12.394
5.848 5.821 12.394
1.450 9.130 2.147
6.650 8.853 5.144
1.700 1.507 13.959
7.304 9.762 9.422
2.685 5.579 15.384
2.655 2.945 16.083
4.175 0.000 5.102
0.000 0.000 12.445
6.840 2.928 1.449
2.655 4.401 7.269
1.509 10.274 10.264
0.000 7.346 3.630
5.694 10.291 7.269
6.840 4.418 10.264
4.175 7.346 13.916
5.694 11.747 16.083
1.509 11.764 1.449

# 5
PBE-GGA Li8Ce7Ge10, relaxed; formation energy from the elements = -680 meV per atom
1.0
3.318 8.043 -14.548
-3.782 -1.548 16.452
4.345 0.017 1.000
Ge Ce Li
10 7 8
Cartesian
-3.114 -0.646 13.535
2.833 4.461 -2.444
-2.344 1.723 10.154
2.029 2.026 1.092
1.708 7.197 -7.539
1.853 4.485 1.812
1.049 2.050 5.347
1.881 4.771 -8.250
2.651 7.141 -11.632
-2.171 -0.703 9.443
-0.632 2.706 2.701
4.336 6.491 -9.006
0.169 3.788 -0.797
-0.454 0.020 11.909
3.514 5.380 -5.414
0.000 0.000 0.000
0.369 1.131 8.318
-1.333 3.092 5.740
2.620 1.957 -1.476
-1.160 0.660 5.028
2.332 5.999 -0.292
1.262 4.554 4.380
1.550 0.512 3.196
0.870 3.403 -3.837
0.697 5.834 -3.124

# 6
PBE-GGA Ba4Ti13O30, relaxed; energy with MP2020 corrections = -849.03 eV per cell; formation energy from the elements = -3527 meV per atom
1.0
-4.586 8.788 -1.128
-0.361 -4.718 8.783
11.841 6.704 4.088
O Ti Ba
60 26 8
Cartesian
5.326 4.371 6.205
4.030 9.026 10.583
0.366 1.302 9.148
5.623 9.034 5.143
1.084 8.658 3.973
9.215 6.745 7.892
5.249 2.174 10.598
-1.221 8.278 1.514
4.414 -0.256 7.643
1.271 1.740 6.600
0.434 10.763 2.051
3.922 -0.387 10.233
0.799 -0.127 2.005
1.666 -0.949 8.285
5.090 9.302 7.885
-2.322 4.028 3.851
2.274 4.144 7.196
1.803 1.471 3.858
7.156 7.036 3.917
6.527 9.471 2.595
1.068 3.823 2.133
6.491 6.984 6.751
6.361 4.564 3.508
2.972 11.160 1.511
6.802 8.642 11.396
5.826 6.951 9.611
6.961 4.755 8.283
3.150 2.053 8.819
8.478 9.103 6.163
6.813 11.009 6.912
0.533 6.210 8.235
-1.374 4.416 1.418
-1.746 8.055 4.193
-0.262 3.737 7.827
1.644 8.599 1.145
-0.067 6.019 3.460
1.568 6.403 5.539
7.541 8.667 8.597
10.156 4.402 9.364
2.479 11.029 4.100
3.744 8.721 2.924
-0.647 2.106 3.147
-3.262 6.372 2.380
-1.103 -0.529 7.444
-1.584 1.671 5.581
6.460 0.011 9.692
0.081 -0.235 4.831
4.619 6.630 4.547
5.810 2.115 7.771
0.402 3.789 4.992
8.640 2.718 7.551
0.092 2.132 0.348
6.095 10.900 9.738
-0.998 6.089 6.101
7.997 11.303 4.300
7.891 4.685 5.642
5.228 11.722 3.458
8.268 6.357 10.325
8.114 2.495 10.229
2.863 1.747 1.160
-1.696 -0.450 5.651
0.834 5.027 6.495
0.328 1.784 5.052
-2.474 2.035 3.828
7.008 3.404 6.930
4.782 1.118 9.004
1.366 2.635 8.287
6.060 5.747 5.248
-3.251 4.520 2.004
-0.146 9.465 0.663
7.039 1.308 11.080
6.559 6.585 11.457
7.341 6.513 8.508
5.893 9.087 9.872
1.001 1.686 1.871
1.815 -0.546 3.761
5.920 3.352 2.044
2.112 9.655 2.739
3.589 12.338 2.987
3.305 -1.565 8.757
5.527 8.138 3.456
-0.115 7.369 4.813
6.566 8.990 6.691
5.078 11.320 7.983
0.334 4.188 0.286
-0.447 4.260 3.235
3.831 2.113 5.668
10.558 4.801 6.463
2.590 6.078 2.758
-2.424 2.007 8.190
-3.664 5.973 5.280
3.063 8.660 6.075
9.318 8.766 3.553
4.303 4.695 8.985